(1)
Computed, not measured: a relaxed Cu3NF3 crystal at the PBE-GGA level of DFT.

Unit cell a=4.2065 b=4.2065 c=4.2065 alpha=90.00 beta=90.00 gamma=90.00
Fractional positions:
Cu: 0.0000 0.0000 0.5000
Cu: 0.0000 0.5000 0.0000
Cu: 0.5000 0.0000 0.0000
N: 0.0000 0.0000 0.0000
F: 0.0000 0.5000 0.5000
F: 0.5000 0.0000 0.5000
F: 0.5000 0.5000 0.0000

Properties
Energy with MP2020 corrections = -4.5990 eV/atom
Space group = Pm-3m, No. 221

(2)
Computed, not measured: a relaxed TiCuNO4F7 crystal at the PBE-GGA level of DFT.

Unit cell a=6.5293 b=6.5293 c=8.6464 alpha=90.00 beta=90.00 gamma=90.00
Fractional positions:
Ti: 0.2500 0.2500 0.1755
Ti: 0.7500 0.7500 0.8245
Cu: 0.2500 0.2500 0.6610
Cu: 0.7500 0.7500 0.3390
N: 0.2500 0.7500 0.0000
N: 0.7500 0.2500 0.0000
O: 0.0199 0.6936 0.3220
O: 0.1936 0.9801 0.6780
O: 0.3064 0.5199 0.6780
O: 0.4801 0.8064 0.3220
O: 0.5199 0.1936 0.6780
O: 0.6936 0.4801 0.3220
O: 0.8064 0.0199 0.3220
O: 0.9801 0.3064 0.6780
F: 0.0143 0.6240 0.8244
F: 0.1240 0.9857 0.1756
F: 0.2500 0.2500 0.3933
F: 0.2500 0.2500 0.9616
F: 0.2500 0.7500 0.5000
F: 0.3760 0.5143 0.1756
F: 0.4857 0.8760 0.8244
F: 0.5143 0.1240 0.1756
F: 0.6240 0.4857 0.8244
F: 0.7500 0.2500 0.5000
F: 0.7500 0.7500 0.0384
F: 0.7500 0.7500 0.6067
F: 0.8760 0.0143 0.8244
F: 0.9857 0.3760 0.1756

Properties
Energy with MP2020 corrections = -4.7230 eV/atom
Space group = P4/n, No. 85

(3)
Computed, not measured: a relaxed Na2CuF4 crystal at the PBE-GGA level of DFT.

Unit cell a=3.9391 b=3.9391 c=11.7469 alpha=90.00 beta=90.00 gamma=90.00
Fractional positions:
Na: 0.0000 0.0000 0.1687
Na: 0.0000 0.0000 0.8313
Na: 0.5000 0.5000 0.3313
Na: 0.5000 0.5000 0.6687
Cu: 0.0000 0.0000 0.5000
Cu: 0.5000 0.5000 0.0000
F: 0.0000 0.5000 0.0000
F: 0.0000 0.5000 0.2500
F: 0.0000 0.5000 0.5000
F: 0.0000 0.5000 0.7500
F: 0.5000 0.0000 0.0000
F: 0.5000 0.0000 0.2500
F: 0.5000 0.0000 0.5000
F: 0.5000 0.0000 0.7500

Properties
Energy with MP2020 corrections = -4.3340 eV/atom
Space group = I4/mmm, No. 139

(4)
Computed, not measured: a relaxed Na2CuF4 crystal at the PBE-GGA level of DFT.

Unit cell a=3.3543 b=9.3954 c=5.7028 alpha=90.00 beta=93.30 gamma=90.00
Fractional positions:
Na: 0.0186 0.1822 0.4166
Na: 0.0186 0.3178 0.9166
Na: 0.9814 0.6822 0.0834
Na: 0.9814 0.8178 0.5834
Cu: 0.5000 0.0000 0.0000
Cu: 0.5000 0.5000 0.5000
F: 0.0836 0.0498 0.7624
F: 0.0836 0.4502 0.2624
F: 0.4884 0.6908 0.3759
F: 0.4884 0.8092 0.8759
F: 0.5116 0.1908 0.1241
F: 0.5116 0.3092 0.6241
F: 0.9164 0.5498 0.7376
F: 0.9164 0.9502 0.2376

Properties
Energy with MP2020 corrections = -4.5593 eV/atom
Space group = P2_1/c, No. 14

(5)
Computed, not measured: a relaxed NaCu3F7 crystal at the PBE-GGA level of DFT.

Unit cell a=7.1663 b=7.1663 c=6.9949 alpha=115.48 beta=115.48 gamma=62.62
Fractional positions:
Na: 0.0000 0.0000 0.0000
Na: 0.0000 0.0000 0.5000
Cu: 0.0000 0.5000 0.0000
Cu: 0.0000 0.5000 0.5000
Cu: 0.5000 0.0000 0.0000
Cu: 0.5000 0.0000 0.5000
Cu: 0.5000 0.5000 0.0000
Cu: 0.5000 0.5000 0.5000
F: 0.1155 0.1920 0.3949
F: 0.1228 0.5295 0.3154
F: 0.1920 0.1155 0.8949
F: 0.2019 0.6068 0.0022
F: 0.3932 0.7981 0.4978
F: 0.3937 0.6063 0.7500
F: 0.4705 0.8772 0.1846
F: 0.5295 0.1228 0.8154
F: 0.6063 0.3937 0.2500
F: 0.6068 0.2019 0.5022
F: 0.7981 0.3932 0.9978
F: 0.8080 0.8845 0.1051
F: 0.8772 0.4705 0.6846
F: 0.8845 0.8080 0.6051

Properties
Energy with MP2020 corrections = -4.5025 eV/atom
Space group = C2/c, No. 15

(6)
Computed, not measured: a relaxed NaCuSO4F crystal at the PBE-GGA level of DFT.

Unit cell a=5.5953 b=5.5953 c=6.9552 alpha=102.39 beta=102.39 gamma=99.99
Fractional positions:
Na: 0.1503 0.8497 0.7500
Na: 0.8497 0.1503 0.2500
Cu: 0.5000 0.5000 0.0000
Cu: 0.5000 0.5000 0.5000
S: 0.1965 0.8035 0.2500
S: 0.8035 0.1965 0.7500
O: 0.0501 0.2457 0.8975
O: 0.1973 0.5984 0.3614
O: 0.2457 0.0501 0.3975
O: 0.4016 0.8027 0.1386
O: 0.5984 0.1973 0.8614
O: 0.7543 0.9499 0.6025
O: 0.8027 0.4016 0.6386
O: 0.9499 0.7543 0.1025
F: 0.4068 0.5933 0.7500
F: 0.5933 0.4068 0.2500

Properties
Energy with MP2020 corrections = -5.8025 eV/atom
Space group = C2/c, No. 15

(7)
Computed, not measured: a relaxed Na2ScCuF7 crystal at the PBE-GGA level of DFT.

Unit cell a=10.6396 b=7.3425 c=7.7730 alpha=90.00 beta=90.00 gamma=90.00
Fractional positions:
Na: 0.0000 0.0000 0.0000
Na: 0.0000 0.5000 0.0000
Na: 0.2384 0.2500 0.2837
Na: 0.2616 0.7500 0.7837
Na: 0.5000 0.0000 0.5000
Na: 0.5000 0.5000 0.5000
Na: 0.7384 0.2500 0.2163
Na: 0.7616 0.7500 0.7163
Sc: 0.2324 0.2500 0.7777
Sc: 0.2676 0.7500 0.2777
Sc: 0.7324 0.2500 0.7223
Sc: 0.7676 0.7500 0.2223
Cu: 0.0000 0.0000 0.5000
Cu: 0.0000 0.5000 0.5000
Cu: 0.5000 0.0000 0.0000
Cu: 0.5000 0.5000 0.0000
F: 0.0331 0.2500 0.4350
F: 0.1215 0.0304 0.7357
F: 0.1215 0.4696 0.7357
F: 0.1445 0.2500 0.0168
F: 0.1436 0.5533 0.3560
F: 0.1436 0.9467 0.3560
F: 0.1713 0.7500 0.0516
F: 0.3287 0.2500 0.5516
F: 0.3564 0.0533 0.8560
F: 0.3564 0.4467 0.8560
F: 0.3555 0.7500 0.5168
F: 0.3785 0.5304 0.2357
F: 0.3785 0.9696 0.2357
F: 0.4669 0.7500 0.9350
F: 0.5331 0.2500 0.0650
F: 0.6215 0.0304 0.7643
F: 0.6215 0.4696 0.7643
F: 0.6445 0.2500 0.4832
F: 0.6436 0.5533 0.1440
F: 0.6436 0.9467 0.1440
F: 0.6713 0.7500 0.4484
F: 0.8287 0.2500 0.9484
F: 0.8564 0.0533 0.6440
F: 0.8564 0.4467 0.6440
F: 0.8555 0.7500 0.9832
F: 0.8785 0.5304 0.2643
F: 0.8785 0.9696 0.2643
F: 0.9669 0.7500 0.5650

Properties
Energy with MP2020 corrections = -5.5531 eV/atom
Space group = Pnma, No. 62

(8)
Computed, not measured: a relaxed SrNb2CuO6F crystal at the PBE-GGA level of DFT.

Unit cell a=10.7075 b=10.7075 c=10.7075 alpha=159.23 beta=159.23 gamma=29.54
Fractional positions:
Sr: 0.0000 0.0000 0.0000
Nb: 0.3805 0.3805 0.0000
Nb: 0.6195 0.6195 0.0000
Cu: 0.7500 0.2500 0.5000
O: 0.0933 0.5933 0.5000
O: 0.2922 0.2922 0.0000
O: 0.4067 0.9067 0.5000
O: 0.5919 0.0919 0.5000
O: 0.7078 0.7078 0.0000
O: 0.9081 0.4081 0.5000
F: 0.5000 0.5000 0.0000

Properties
Energy with MP2020 corrections = -8.1342 eV/atom
Space group = I-4m2, No. 119

(9)
Computed, not measured: a relaxed Rb2NbCuF6 crystal at the PBE-GGA level of DFT.

Unit cell a=6.1921 b=6.1921 c=6.1921 alpha=60.00 beta=60.00 gamma=60.00
Fractional positions:
Rb: 0.2500 0.2500 0.2500
Rb: 0.7500 0.7500 0.7500
Nb: 0.0000 0.0000 0.0000
Cu: 0.5000 0.5000 0.5000
F: 0.2422 0.2422 0.7578
F: 0.2422 0.7578 0.2422
F: 0.2422 0.7578 0.7578
F: 0.7578 0.2422 0.2422
F: 0.7578 0.2422 0.7578
F: 0.7578 0.7578 0.2422

Properties
Energy with MP2020 corrections = -5.3480 eV/atom
Space group = Fm-3m, No. 225

(10)
Computed, not measured: a relaxed Cu2OF2 crystal at the PBE-GGA level of DFT.

Unit cell a=5.2240 b=5.2240 c=13.9593 alpha=91.64 beta=91.64 gamma=60.54
Fractional positions:
Cu: 0.0461 0.9385 0.8476
Cu: 0.0615 0.9539 0.6524
Cu: 0.3103 0.4169 0.1825
Cu: 0.3323 0.3639 0.4852
Cu: 0.3639 0.3323 0.9852
Cu: 0.4169 0.3103 0.6825
Cu: 0.5831 0.6897 0.3175
Cu: 0.6361 0.6677 0.0148
Cu: 0.6677 0.6361 0.5148
Cu: 0.6897 0.5831 0.8175
Cu: 0.9385 0.0461 0.3476
Cu: 0.9539 0.0615 0.1524
O: 0.2246 0.7754 0.2500
O: 0.3767 0.6078 0.5882
O: 0.3922 0.6233 0.9118
O: 0.6078 0.3767 0.0882
O: 0.6233 0.3922 0.4118
O: 0.7754 0.2246 0.7500
F: 0.0194 0.6285 0.7632
F: 0.0599 0.2680 0.9180
F: 0.0954 0.3131 0.5860
F: 0.2680 0.0599 0.4180
F: 0.3131 0.0954 0.0860
F: 0.3715 0.9806 0.7368
F: 0.6285 0.0194 0.2632
F: 0.6869 0.9046 0.9140
F: 0.7320 0.9401 0.5820
F: 0.9046 0.6869 0.4140
F: 0.9401 0.7320 0.0820
F: 0.9806 0.3715 0.2368

Properties
Energy with MP2020 corrections = -4.7783 eV/atom
Space group = C2/c, No. 15

(11)
Computed, not measured: a relaxed CuO2F crystal at the PBE-GGA level of DFT.

Unit cell a=3.1075 b=11.6439 c=4.9453 alpha=90.00 beta=90.00 gamma=90.00
Fractional positions:
Cu: 0.0000 0.1485 0.0000
Cu: 0.0000 0.8515 0.0000
Cu: 0.5000 0.3515 0.5000
Cu: 0.5000 0.6485 0.5000
O: 0.0000 0.0551 0.3283
O: 0.0000 0.4426 0.3314
O: 0.0000 0.5574 0.3314
O: 0.0000 0.9449 0.3283
O: 0.5000 0.0574 0.8314
O: 0.5000 0.4449 0.8283
O: 0.5000 0.5551 0.8283
O: 0.5000 0.9426 0.8314
F: 0.0000 0.2539 0.6686
F: 0.0000 0.7461 0.6686
F: 0.5000 0.2461 0.1686
F: 0.5000 0.7539 0.1686

Properties
Energy with MP2020 corrections = -4.8017 eV/atom
Space group = Imm2, No. 44

(12)
Computed, not measured: a relaxed CuO2F crystal at the PBE-GGA level of DFT.

Unit cell a=3.1820 b=5.8963 c=4.6241 alpha=90.00 beta=90.00 gamma=90.00
Fractional positions:
Cu: 0.0000 0.2065 0.0000
Cu: 0.5000 0.7935 0.5000
O: 0.0000 0.3966 0.3452
O: 0.0000 0.6187 0.3200
O: 0.5000 0.3813 0.8200
O: 0.5000 0.6034 0.8452
F: 0.0000 0.9830 0.6758
F: 0.5000 0.0170 0.1758

Properties
Energy with MP2020 corrections = -4.8342 eV/atom
Space group = Pmn2_1, No. 31